[1]
The following is a DFT calculation (PBE) of a relaxed structure of Mg3Ti2Si4O14.

Cell: 17.003 7.670 9.755 Å, 90.00 123.88 90.00°
Space group C2/c (No. 15)
Inequivalent atoms, fractional coordinates:
Mg 0.000 0.112 0.250 [4 per cell]
Mg 0.180 0.405 0.409 [8 per cell]
Ti 0.000 0.307 0.750 [4 per cell]
Ti 0.000 0.500 0.000 [4 per cell]
Si 0.121 0.140 0.106 [8 per cell]
Si 0.186 0.217 0.714 [8 per cell]
O 0.046 0.084 0.915 [8 per cell]
O 0.075 0.274 0.178 [8 per cell]
O 0.082 0.469 0.921 [8 per cell]
O 0.104 0.346 0.693 [8 per cell]
O 0.162 0.018 0.747 [8 per cell]
O 0.201 0.207 0.565 [8 per cell]
O 0.216 0.215 0.117 [8 per cell]

Values from the calculation:
VASP energy: -7.58 eV per atom
Energy of formation from the pure elements: -3.14 eV per atom

[2]
The following is a DFT calculation (PBE) of a relaxed structure of MgTi2Si4O12.

Cell: 10.563 8.830 5.300 Å, 90.00 108.44 90.00°
Space group C2 (No. 5)
Inequivalent atoms, fractional coordinates:
Mg 0.000 0.000 0.000 [2 per cell]
Ti 0.000 0.332 0.000 [2 per cell]
Ti 0.000 0.533 0.500 [2 per cell]
Si 0.224 0.826 0.507 [4 per cell]
Si 0.233 0.014 0.999 [4 per cell]
O 0.106 0.506 0.895 [4 per cell]
O 0.112 0.342 0.394 [4 per cell]
O 0.133 0.158 0.972 [4 per cell]
O 0.146 0.667 0.478 [4 per cell]
O 0.169 0.932 0.708 [4 per cell]
O 0.171 0.904 0.201 [4 per cell]

Values from the calculation:
VASP energy: -7.81 eV per atom
Energy of formation from the pure elements: -3.06 eV per atom
Distance to the lowest polymorph of the same formula: 136 meV per atom

[3]
The following is a DFT calculation (PBE) of a relaxed structure of MgTl6Si2O7.

Cell: 5.305 8.701 8.774 Å, 62.77 88.01 89.15°
Space group P1 (No. 1)
Inequivalent atoms, fractional coordinates:
Mg 0.000 0.000 0.000 [1 per cell]
Tl 0.009 0.649 0.858 [1 per cell]
Tl 0.016 0.637 0.306 [1 per cell]
Tl 0.047 0.170 0.602 [1 per cell]
Tl 0.480 0.922 0.435 [1 per cell]
Tl 0.505 0.449 0.266 [1 per cell]
Tl 0.511 0.312 0.900 [1 per cell]
Si 0.461 0.878 0.904 [1 per cell]
Si 0.972 0.228 0.203 [1 per cell]
O 0.063 0.424 0.170 [1 per cell]
O 0.067 0.078 0.389 [1 per cell]
O 0.081 0.189 0.046 [1 per cell]
O 0.425 0.982 0.696 [1 per cell]
O 0.554 0.678 0.971 [1 per cell]
O 0.643 0.984 0.972 [1 per cell]
O 0.657 0.228 0.202 [1 per cell]

Values from the calculation:
VASP energy: -5.25 eV per atom
Energy of formation from the pure elements: -1.72 eV per atom

[4]
The following is a DFT calculation (PBE) of a relaxed structure of MgU2Si2O17.

Cell: 17.404 7.035 6.731 Å, 90.00 102.88 90.00°
Space group C2/m (No. 12)
Inequivalent atoms, fractional coordinates:
Mg 0.000 0.000 0.000 [2 per cell]
U 0.239 0.500 0.351 [4 per cell]
Si 0.209 0.000 0.153 [4 per cell]
O 0.000 0.000 0.500 [2 per cell]
O 0.008 0.143 0.292 [8 per cell]
O 0.115 0.000 0.063 [4 per cell]
O 0.133 0.500 0.321 [4 per cell]
O 0.154 0.000 0.578 [4 per cell]
O 0.239 0.179 0.309 [8 per cell]
O 0.247 0.500 0.037 [4 per cell]

Values from the calculation:
VASP energy: -6.94 eV per atom
Energy of formation from the pure elements: -2.06 eV per atom

Q: Which formula does entry 3 have?
A: MgTl6Si2O7

Q: Which of these has the highest VASP energy?
A: MgTl6Si2O7